1.
Density functional theory data (PBE-GGA) for crystalline TiNbSn2O6 at its relaxed geometry.

Cell and atoms, written as POSCAR:
```
TiNbSn2O6
1.0
0.000 4.022 4.022
4.022 0.000 4.022
4.022 4.022 0.000
Ti Nb Sn O
1 1 2 6
Cartesian
0.000 0.000 0.000 Ti
4.022 4.022 4.022 Nb
2.011 2.011 2.011 Sn
6.033 6.033 6.033 Sn
4.022 4.022 1.990 O
4.022 1.990 4.022 O
6.054 4.022 4.022 O
1.990 4.022 4.022 O
4.022 6.054 4.022 O
4.022 4.022 6.054 O
```

Computed properties:
V   130 Å³/f.u.
Energy   -75.86 eV/cell

---

2.
Density functional theory data (PBE-GGA) for crystalline Zr9BW4 at its relaxed geometry.

Cell and atoms, written as POSCAR:
```
Zr9BW4
1.0
8.663 0.000 0.000
-4.331 7.502 0.000
0.000 0.000 8.663
Zr B W
18 2 8
Cartesian
-1.674 4.035 2.166 Zr
0.000 3.045 4.808 Zr
0.000 3.045 8.187 Zr
-1.695 5.980 4.808 Zr
-1.695 5.980 8.187 Zr
2.637 1.522 0.476 Zr
2.637 1.522 3.855 Zr
1.674 4.035 2.166 Zr
0.000 6.934 2.166 Zr
4.331 0.568 6.498 Zr
2.657 3.467 6.498 Zr
1.695 5.980 4.808 Zr
1.695 5.980 8.187 Zr
6.026 1.522 0.476 Zr
6.026 1.522 3.855 Zr
4.331 4.458 0.476 Zr
4.331 4.458 3.855 Zr
6.005 3.467 6.498 Zr
0.000 5.001 6.498 B
4.331 2.501 2.166 B
0.000 0.000 0.000 W
0.000 0.000 4.332 W
0.000 1.642 2.166 W
-2.910 6.681 2.166 W
1.422 0.821 6.498 W
2.910 6.681 2.166 W
7.241 0.821 6.498 W
4.331 5.860 6.498 W
```

Computed properties:
Relative energy among the computed polymorphs   0 meV per atom
V   282 Å³/f.u.

---

3.
Density functional theory data (PBE-GGA) for crystalline Ba3Y2I12 at its relaxed geometry.

Cell and atoms, written as POSCAR:
```
Ba3Y2I12
1.0
14.275 0.000 0.000
0.000 14.335 0.000
-13.585 0.000 18.370
Ba Y I
12 8 48
Cartesian
-5.245 2.298 7.452 Ba
-12.038 4.870 16.638 Ba
1.812 1.727 2.946 Ba
-4.981 5.441 12.131 Ba
-6.824 10.157 17.875 Ba
-0.031 11.346 8.690 Ba
0.721 2.989 9.681 Ba
7.513 4.179 0.495 Ba
5.670 8.894 6.239 Ba
-1.122 12.608 15.425 Ba
12.727 9.465 1.733 Ba
5.935 12.037 10.918 Ba
-9.985 0.359 15.836 Y
-3.192 6.809 6.651 Y
-3.191 0.405 11.525 Y
3.601 6.763 2.339 Y
-2.912 7.572 16.031 Y
3.881 13.930 6.846 Y
3.882 7.526 11.719 Y
10.674 13.976 2.534 Y
-9.599 9.987 13.301 I
-2.806 11.516 4.115 I
-12.142 1.470 17.871 I
-5.350 5.697 8.686 I
-1.379 1.174 3.899 I
-8.171 5.994 13.084 I
-1.202 7.435 4.504 I
-7.995 14.068 13.690 I
-5.612 2.209 11.062 I
1.180 4.958 1.877 I
1.865 8.982 1.257 I
-4.927 12.521 10.442 I
-2.755 9.372 8.281 I
-9.548 12.131 17.466 I
-2.124 0.848 8.610 I
-8.917 6.320 17.795 I
-7.854 1.657 17.573 I
-1.062 5.510 8.388 I
1.632 1.648 6.557 I
-5.160 5.519 15.742 I
-4.602 10.020 15.241 I
2.190 11.483 6.056 I
-3.815 0.095 14.432 I
2.978 7.073 5.247 I
-2.288 7.263 13.123 I
4.504 14.240 3.938 I
-1.501 2.853 12.315 I
5.292 4.315 3.129 I
5.850 8.816 2.629 I
-0.943 12.687 11.814 I
1.751 8.825 9.983 I
8.544 12.678 0.797 I
9.606 8.015 0.575 I
2.814 13.488 9.761 I
10.237 2.204 0.905 I
3.444 4.964 10.090 I
5.617 1.814 7.928 I
-1.176 5.354 17.113 I
-0.491 9.377 16.494 I
6.302 12.126 7.308 I
8.684 0.267 4.681 I
1.891 6.901 13.866 I
8.861 8.341 5.287 I
2.068 13.161 14.472 I
6.039 8.638 9.685 I
12.832 12.865 0.500 I
3.496 2.820 14.255 I
10.288 4.348 5.070 I
```

Computed properties:
Relative energy among the computed polymorphs   3 meV per atom
V   940 Å³/f.u.

---

4.
Density functional theory data (PBE-GGA) for crystalline InN at its relaxed geometry.

Cell and atoms, written as POSCAR:
```
InN
1.0
5.054 0.000 0.000
0.000 5.054 0.000
0.000 0.000 5.054
In N
4 4
Cartesian
0.000 0.000 0.000 In
0.000 2.527 2.527 In
2.527 0.000 2.527 In
2.527 2.527 0.000 In
1.264 1.264 3.791 N
1.264 3.791 1.264 N
3.791 1.264 1.264 N
3.791 3.791 3.791 N
```

Computed properties:
Relative energy among the computed polymorphs   10 meV per atom
V   32 Å³/f.u.